Li2LaNb6O18: optimized geometry, PBE-GGA.

Cell lengths 3.9690, 8.0124, 11.9569 Å; angles 90.00, 90.00, 90.00 degrees
With the nearest neighbours (Å) after each atom.
Element x y z (fractional)
O  0.0000  0.0000  0.0000  2 Nb 2.04
Nb  0.0000  0.2581  0.6713  6 O 1.94-2.07
O  0.0000  0.2312  0.1678  2 Nb 1.94-2.02
O  0.0000  0.7778  0.5000  2 Nb 2.07
O  0.5000  0.7727  0.3404  2 Nb 2.00
Li  0.5000  0.0000  0.1635  12 O 2.69-2.91
O  0.5000  0.2314  0.0000  2 Nb 1.99
Li  0.5000  0.0000  0.8365  12 O 2.69-2.91
Nb  0.0000  0.7419  0.3287  6 O 1.94-2.07
Nb  0.0000  0.2551  0.0000  6 O 1.96-2.04
O  0.5000  0.2273  0.6596  2 Nb 2.00
La  0.5000  0.0000  0.5000  12 O 2.64-2.75
Nb  0.0000  0.7449  0.0000  6 O 1.96-2.04
O  0.0000  0.5000  0.0000  2 Nb 1.96
Nb  0.0000  0.2581  0.3287  6 O 1.94-2.07
O  0.5000  0.7686  0.0000  2 Nb 1.99
Nb  0.0000  0.7419  0.6713  6 O 1.94-2.07
O  0.0000  0.5000  0.6640  2 Nb 1.94
O  0.5000  0.7727  0.6596  2 Nb 2.00
O  0.0000  0.0000  0.6586  2 Nb 2.07
O  0.0000  0.0000  0.3414  2 Nb 2.07
O  0.0000  0.2222  0.5000  2 Nb 2.07
O  0.0000  0.7688  0.1678  2 Nb 1.94-2.02
O  0.0000  0.7688  0.8322  2 Nb 1.94-2.02
O  0.5000  0.2273  0.3404  2 Nb 2.00
O  0.0000  0.5000  0.3360  2 Nb 1.94
O  0.0000  0.2312  0.8322  2 Nb 1.94-2.02

* symmetry: No. 47


Ca5Ta4O15: optimized geometry, PBE-GGA.

Cell lengths 5.6327, 5.6327, 11.5021 Å; angles 90.00, 90.00, 120.00 degrees
With the nearest neighbours (Å) after each atom.
Element x y z (fractional)
O  0.1718  0.3436  0.1078  1 Ta 1.90
O  0.1623  0.3246  0.6926  2 Ta 1.96-2.12
Ca  0.0000  0.0000  0.5000  12 O 2.72-2.82
O  0.8282  0.1718  0.8922  1 Ta 1.90
O  0.3246  0.1623  0.3074  2 Ta 1.96-2.12
Ta  0.0000  0.0000  0.1849  6 O 1.90-2.12
O  0.0000  0.5000  0.5000  2 Ta 2.02
O  0.5000  0.0000  0.5000  2 Ta 2.02
O  0.6754  0.8377  0.6926  2 Ta 1.96-2.12
O  0.1623  0.8377  0.6926  2 Ta 1.96-2.12
Ca  0.3333  0.6667  0.2613  3 O 2.37
O  0.5000  0.5000  0.5000  2 Ta 2.02
Ca  0.3333  0.6667  0.9597  3 O 2.32
Ta  0.6667  0.3333  0.3964  6 O 1.96-2.02
Ca  0.6667  0.3333  0.0403  3 O 2.32
O  0.6564  0.8282  0.1078  1 Ta 1.90
O  0.8377  0.6754  0.3074  2 Ta 1.96-2.12
O  0.8282  0.6564  0.8922  1 Ta 1.90
O  0.8377  0.1623  0.3074  2 Ta 1.96-2.12
O  0.1718  0.8282  0.1078  1 Ta 1.90
O  0.3436  0.1718  0.8922  1 Ta 1.90
Ca  0.6667  0.3333  0.7387  3 O 2.37
Ta  0.3333  0.6667  0.6036  6 O 1.96-2.02
Ta  0.0000  0.0000  0.8151  6 O 1.90-2.12

* symmetry: No. 164


Zn2H10Cl4O5: optimized geometry, PBE-GGA.

Cell lengths 10.0257, 7.4124, 15.6950 Å; angles 74.77, 90.00, 90.00 degrees
With the nearest neighbours (Å) after each atom.
Element x y z (fractional)
H  0.3975  0.7120  0.0137  1 O 0.99
H  0.6816  0.0134  0.8885  1 O 0.98
H  0.3745  0.5574  0.8153  1 O 0.99
Cl  0.4498  0.9268  0.8854  3 H 2.28-2.54, 1 Zn 2.29
H  0.3397  0.9975  0.6131  1 O 0.98
O  0.2357  0.9191  0.1060  2 H 0.98
H  0.9493  0.2570  0.7304  1 O 0.98
H  0.5507  0.2570  0.2304  1 O 0.98
H  0.6255  0.4426  0.1847  1 O 0.99
H  0.9807  0.6196  0.0762  1 O 0.98
O  0.8763  0.3651  0.2535  2 H 0.98-0.99
Zn  0.2686  0.1219  0.8554  4 Cl 2.28-2.35
Cl  0.2186  0.2807  0.2047  2 Zn 2.35-2.47
O  0.4236  0.6299  0.5617  2 H 0.98-0.99
H  0.9168  0.2710  0.9942  1 O 0.99
O  0.3763  0.6349  0.2465  2 H 0.98-0.99
H  0.5470  0.4494  0.7522  1 O 0.99
H  0.1816  0.9866  0.6115  1 O 0.98
H  0.6603  0.0025  0.3869  1 O 0.98
O  0.5764  0.3701  0.4383  2 H 0.98-0.99
H  0.9021  0.2646  0.2268  1 O 0.98
Cl  0.2559  0.3470  0.9299  1 Zn 2.28, 3 H 2.37-2.38
H  0.9530  0.4494  0.2522  1 O 0.99
Cl  0.9498  0.0732  0.6146  3 H 2.28-2.54, 1 Zn 2.29
Cl  0.5807  0.0628  0.6298  3 H 2.28-2.49, 1 Zn 2.30
H  0.4530  0.5506  0.2478  1 O 0.99
O  0.9194  0.3762  0.7403  2 H 0.98-0.99
Zn  0.2718  0.6260  0.6547  5 O 2.08-2.21
H  0.0193  0.3804  0.9238  1 O 0.98
Zn  0.7314  0.8781  0.1446  4 Cl 2.28-2.35
H  0.0470  0.5506  0.7478  1 O 0.99
H  0.8184  0.0134  0.3885  1 O 0.98
H  0.8975  0.2880  0.4863  1 O 0.99
H  0.4493  0.7430  0.7696  1 O 0.98
H  0.3184  0.9866  0.1115  1 O 0.98
Cl  0.7441  0.6530  0.0701  1 Zn 2.28, 3 H 2.37-2.38
Cl  0.7559  0.6530  0.5701  1 Zn 2.28, 3 H 2.37-2.38
H  0.5832  0.2710  0.4942  1 O 0.99
H  0.3484  0.5054  0.0298  1 O 0.98
Cl  0.7814  0.7193  0.7953  2 Zn 2.35-2.47
O  0.5806  0.3762  0.2403  2 H 0.98-0.99
Cl  0.0502  0.9268  0.3854  3 H 2.28-2.54, 1 Zn 2.29
H  0.8484  0.4946  0.4702  1 O 0.98
H  0.6025  0.2880  0.9863  1 O 0.99
Zn  0.2314  0.1219  0.3554  4 Cl 2.28-2.35
H  0.5979  0.2646  0.7268  1 O 0.98
H  0.1603  0.9975  0.1131  1 O 0.98
Zn  0.7282  0.3740  0.3453  5 O 2.08-2.21
O  0.6237  0.3651  0.7535  2 H 0.98-0.99
Cl  0.9193  0.0628  0.1298  3 H 2.28-2.49, 1 Zn 2.30
O  0.3745  0.5984  0.0609  2 H 0.98-0.99
H  0.6516  0.4946  0.9702  1 O 0.98
H  0.1025  0.7120  0.5137  1 O 0.99
H  0.1255  0.5574  0.3153  1 O 0.99
O  0.0764  0.6299  0.0617  2 H 0.98-0.99
O  0.2643  0.9191  0.6060  2 H 0.98
O  0.0806  0.6238  0.2597  2 H 0.98-0.99
H  0.0832  0.7290  0.0058  1 O 0.99
H  0.8397  0.0025  0.8869  1 O 0.98
H  0.4807  0.3804  0.4238  1 O 0.98
Cl  0.5502  0.0732  0.1146  3 H 2.28-2.54, 1 Zn 2.29
O  0.9236  0.3701  0.9383  2 H 0.98-0.99
O  0.4194  0.6238  0.7597  2 H 0.98-0.99
O  0.7643  0.0809  0.8940  2 H 0.98
H  0.0507  0.7430  0.2696  1 O 0.98
Cl  0.7186  0.7193  0.2953  2 Zn 2.35-2.47
H  0.5193  0.6196  0.5762  1 O 0.98
Zn  0.2282  0.6260  0.1547  5 O 2.08-2.21
O  0.6255  0.4016  0.9391  2 H 0.98-0.99
H  0.0979  0.7354  0.7732  1 O 0.98
O  0.1237  0.6349  0.7465  2 H 0.98-0.99
H  0.1516  0.5054  0.5298  1 O 0.98
Cl  0.4193  0.9372  0.3702  3 H 2.28-2.49, 1 Zn 2.30
O  0.1255  0.5984  0.5609  2 H 0.98-0.99
H  0.8745  0.4426  0.6847  1 O 0.99
Zn  0.7718  0.3740  0.8453  5 O 2.08-2.21
H  0.4168  0.7290  0.5058  1 O 0.99
O  0.7357  0.0809  0.3940  2 H 0.98
Zn  0.7686  0.8781  0.6446  4 Cl 2.28-2.35
Cl  0.0807  0.9372  0.8702  3 H 2.28-2.49, 1 Zn 2.30
O  0.8745  0.4016  0.4391  2 H 0.98-0.99
Cl  0.2441  0.3470  0.4299  1 Zn 2.28, 3 H 2.37-2.38
Cl  0.2814  0.2807  0.7047  2 Zn 2.35-2.47
H  0.4021  0.7354  0.2732  1 O 0.98

* symmetry: No. 14


SiPb7N6: optimized geometry, PBE-GGA.

Cell lengths 12.7049, 7.3243, 12.5821 Å; angles 90.00, 90.00, 90.00 degrees
With the nearest neighbours (Å) after each atom.
Element x y z (fractional)
Pb  0.5000  0.0623  0.2500  2 N 2.29
Pb  0.2129  0.8256  0.6319  3 N 2.31-2.49
Pb  0.2448  0.0451  0.8653  3 N 2.39-2.47
N  0.3252  0.2062  0.4660  4 Pb 2.31-2.46
Si  0.5000  0.6571  0.2500  4 N 1.77-1.79
N  0.0316  0.9563  0.6300  1 Si 1.77
Pb  0.4915  0.7328  0.5212  3 N 2.38-2.46
N  0.9684  0.0437  0.3700  1 Si 1.77
N  0.6748  0.7938  0.5340  4 Pb 2.31-2.46
Pb  0.5000  0.9377  0.7500  2 N 2.29
Pb  0.2448  0.9549  0.3653  3 N 2.39-2.47
N  0.8926  0.3132  0.2314  1 Si 1.79
Pb  0.7871  0.1744  0.3681  3 N 2.31-2.49
Pb  0.7552  0.0451  0.6347  3 N 2.39-2.47
Pb  0.9915  0.2328  0.9788  3 N 2.38-2.46
N  0.0316  0.0437  0.1300  1 Si 1.77
Pb  0.2552  0.4549  0.3653  3 N 2.39-2.47
Pb  0.0000  0.4377  0.7500  2 N 2.29
Pb  0.2552  0.5451  0.8653  3 N 2.39-2.47
Si  0.5000  0.3429  0.7500  4 N 1.77-1.79
N  0.8252  0.7062  0.0340  4 Pb 2.31-2.46
N  0.3926  0.1868  0.7686  1 Si 1.79
N  0.4684  0.5437  0.1300  1 Si 1.77
Si  0.0000  0.8429  0.7500  4 N 1.77-1.79
Pb  0.7448  0.4549  0.1347  3 N 2.39-2.47
Pb  0.7129  0.3256  0.8681  3 N 2.31-2.49
Pb  0.0085  0.7672  0.0212  3 N 2.38-2.46
Pb  0.7552  0.9549  0.1347  3 N 2.39-2.47
N  0.1748  0.7062  0.4660  4 Pb 2.31-2.46
Pb  0.9915  0.7672  0.4788  3 N 2.38-2.46
Pb  0.5085  0.2672  0.4788  3 N 2.38-2.46
Si  0.0000  0.1571  0.2500  4 N 1.77-1.79
N  0.4684  0.4563  0.6300  1 Si 1.77
N  0.1748  0.2938  0.9660  4 Pb 2.31-2.46
Pb  0.0000  0.5623  0.2500  2 N 2.29
N  0.6748  0.2062  0.0340  4 Pb 2.31-2.46
Pb  0.7871  0.8256  0.8681  3 N 2.31-2.49
N  0.9684  0.9563  0.8700  1 Si 1.77
N  0.5316  0.5437  0.3700  1 Si 1.77
N  0.8926  0.6868  0.7314  1 Si 1.79
Pb  0.2871  0.3256  0.6319  3 N 2.31-2.49
N  0.1074  0.6868  0.7686  1 Si 1.79
N  0.1074  0.3132  0.2686  1 Si 1.79
N  0.3926  0.8132  0.2686  1 Si 1.79
Pb  0.4915  0.2672  0.0212  3 N 2.38-2.46
Pb  0.0085  0.2328  0.5212  3 N 2.38-2.46
Pb  0.2129  0.1744  0.1319  3 N 2.31-2.49
Pb  0.2871  0.6744  0.1319  3 N 2.31-2.49
N  0.8252  0.2938  0.5340  4 Pb 2.31-2.46
N  0.6074  0.1868  0.7314  1 Si 1.79
N  0.6074  0.8132  0.2314  1 Si 1.79
N  0.5316  0.4563  0.8700  1 Si 1.77
Pb  0.7129  0.6744  0.3681  3 N 2.31-2.49
Pb  0.5085  0.7328  0.9788  3 N 2.38-2.46
N  0.3252  0.7938  0.9660  4 Pb 2.31-2.46
Pb  0.7448  0.5451  0.6347  3 N 2.39-2.47

* symmetry: No. 60


EuO2: optimized geometry, PBE-GGA.

Cell lengths 3.5350, 3.5350, 6.2238 Å; angles 90.00, 90.00, 90.00 degrees
With the nearest neighbours (Å) after each atom.
Element x y z (fractional)
O  0.5000  0.5000  0.0000  4 Eu 2.39, 4 O 2.50
O  0.5000  0.0000  0.3666  5 Eu 2.33-2.59
O  0.0000  0.5000  0.6334  5 Eu 2.33-2.59
Eu  0.0000  0.5000  0.2596  9 O 2.33-2.59
Eu  0.5000  0.0000  0.7404  9 O 2.33-2.59
O  0.0000  0.0000  0.0000  4 Eu 2.39, 4 O 2.50

* symmetry: No. 129


CeMg14BO16: optimized geometry, PBE-GGA.

Cell lengths 8.7643, 8.7643, 4.3747 Å; angles 90.00, 90.00, 90.00 degrees
With the nearest neighbours (Å) after each atom.
Element x y z (fractional)
Mg  0.7427  0.5000  0.5000  6 O 2.13-2.26
O  0.2500  0.7500  0.5000  6 Mg 2.19-2.20
Mg  0.2647  0.7353  0.0000  6 O 2.08-2.32
Mg  0.7305  0.0000  0.5000  5 O 2.02-2.20
O  0.0000  0.0000  0.5000  2 Ce 2.19, 4 Mg 2.36
O  0.5000  0.0000  0.5000  6 Mg 2.02-2.26
Mg  0.2647  0.2647  0.0000  6 O 2.08-2.32
Mg  0.2573  0.5000  0.5000  6 O 2.13-2.26
O  0.7656  0.5000  0.0000  5 Mg 2.05-2.20
Mg  0.7353  0.7353  0.0000  6 O 2.08-2.32
Mg  0.0000  0.5000  0.0000  6 O 2.05-2.19
Mg  0.0000  0.7305  0.5000  5 O 2.02-2.20
Mg  0.5000  0.2573  0.5000  6 O 2.13-2.26
O  0.2344  0.5000  0.0000  5 Mg 2.05-2.20
O  0.2641  0.0000  0.0000  3 Mg 2.07-2.19, 1 Ce 2.31
O  0.5000  0.7656  0.0000  5 Mg 2.05-2.20
Mg  0.7353  0.2647  0.0000  6 O 2.08-2.32
Mg  0.5000  0.0000  0.0000  6 O 2.05-2.19
O  0.0000  0.7359  0.0000  3 Mg 2.07-2.19, 1 Ce 2.31
Mg  0.5000  0.7427  0.5000  6 O 2.13-2.26
O  0.5000  0.5000  0.5000  4 Mg 2.13, 2 B 2.19
Mg  0.2695  0.0000  0.5000  5 O 2.02-2.20
O  0.0000  0.2641  0.0000  3 Mg 2.07-2.19, 1 Ce 2.31
Ce  0.0000  0.0000  0.0000  6 O 2.19-2.31
O  0.2500  0.2500  0.5000  6 Mg 2.19-2.20
B  0.5000  0.5000  0.0000  6 O 2.19-2.33
O  0.5000  0.2344  0.0000  5 Mg 2.05-2.20
O  0.7359  0.0000  0.0000  3 Mg 2.07-2.19, 1 Ce 2.31
O  0.0000  0.5000  0.5000  6 Mg 2.02-2.26
Mg  0.0000  0.2695  0.5000  5 O 2.02-2.20
O  0.7500  0.7500  0.5000  6 Mg 2.19-2.20
O  0.7500  0.2500  0.5000  6 Mg 2.19-2.20

* symmetry: No. 123


| no. | formation enthalpy at 0 K (meV per atom) | MP2020-corrected energy (eV per cell) |
| --- | --- | --- |
| 1 | -2960 | -238.3 |
| 2 | -3405 | -213.4 |
| 3 | -1213 | -376.2 |
| 4 | 189 | -315.2 |
| 5 | -2503 | -55.3 |
| 6 | -2747 | -202.1 |